Compound: Cs3AsP3Se9
Source: the Materials Project
Functional: PBE
Structure: relaxed

Cell and atoms, written as extended XYZ:
```
64
Lattice="8.330 0.000 0.000 0.000 13.696 0.000 0.000 4.079 19.808" Properties=species:S:1:pos:R:3 pbc="T T T"
Cs 0.267 4.460 1.575
Cs 4.432 6.467 18.233
Cs 8.064 13.315 18.233
Cs 3.899 11.308 1.575
Cs 4.392 2.207 5.202
Cs 0.227 8.720 14.606
Cs 3.938 15.568 14.606
Cs 8.104 9.055 5.202
Cs 4.350 6.578 11.225
Cs 0.184 4.349 8.583
Cs 3.981 11.197 8.583
Cs 8.146 13.426 11.225
As 4.167 6.736 3.500
As 0.002 4.191 16.308
As 4.163 11.038 16.308
As 8.328 13.584 3.500
P 5.071 6.204 7.090
P 0.906 4.723 12.717
P 3.259 11.570 12.717
P 7.424 13.052 7.090
P 7.310 3.692 13.385
P 3.145 7.235 6.423
P 1.020 14.083 6.423
P 5.185 10.540 13.385
P 5.096 6.324 0.399
P 0.931 4.603 19.409
P 3.234 11.451 19.409
P 7.399 13.172 0.399
Se 6.281 7.656 8.129
Se 2.116 3.271 11.679
Se 2.049 10.119 11.679
Se 6.214 14.504 8.129
Se 4.524 4.401 8.137
Se 0.359 6.526 11.671
Se 3.806 13.373 11.671
Se 7.971 11.249 8.137
Se 5.956 5.743 4.987
Se 1.791 5.184 14.821
Se 2.374 12.032 14.821
Se 6.540 12.591 4.987
Se 6.172 3.034 11.700
Se 2.007 7.893 8.108
Se 2.158 14.741 8.108
Se 6.323 9.882 11.700
Se 0.265 2.000 5.025
Se 4.430 8.927 14.783
Se 8.065 15.775 14.783
Se 3.900 8.848 5.025
Se 2.187 5.735 5.063
Se 6.352 5.192 14.744
Se 6.143 12.040 14.744
Se 1.978 12.583 5.063
Se 6.491 0.976 1.781
Se 2.326 9.951 18.027
Se 1.839 16.799 18.027
Se 6.004 7.824 1.781
Se 4.370 4.604 1.588
Se 0.205 6.323 18.220
Se 3.960 13.171 18.220
Se 8.125 11.452 1.588
Se 2.162 1.035 1.313
Se 6.327 9.892 18.494
Se 6.168 16.740 18.494
Se 2.003 7.883 1.313
```

ΔE_f: -816 meV per atom
Raw total energy: -3.991 eV/atom
E (MP2020): -272.4 eV/cell
Mass density: 3.75 g/cm3
Space group: P2_1/c

=====

Compound: CsAs2Ru2
Source: the Materials Project
Functional: PBE
Structure: relaxed

Cell and atoms, written as extended XYZ:
```
5
Lattice="4.463 5.579 3.470 1.033 7.848 -0.652 -4.837 -6.274 0.571" Properties=species:S:1:pos:R:3 pbc="T T T"
Cs 0.000 0.000 0.000
As 1.863 4.551 0.955
As 3.634 8.876 1.863
Ru 1.187 3.009 2.725
Ru -0.528 4.144 0.664
```

ΔE_f: -394 meV per atom
Raw total energy: -6.147 eV/atom
Mass density: 6.43 g/cm3
Space group: I4/mmm

=====

Compound: Cs2SiAs2
Source: the Materials Project
Functional: PBE
Structure: relaxed

Cell and atoms, written as extended XYZ:
```
10
Lattice="-3.261 3.870 7.350 3.261 -3.870 7.350 3.261 3.870 -7.350" Properties=species:S:1:pos:R:3 pbc="T T T"
Cs 0.000 2.568 5.218
Cs 3.261 -2.568 5.218
Cs 0.000 6.438 2.132
Cs 3.261 1.303 2.132
Si 1.631 0.000 7.350
Si 1.631 3.870 0.000
As 3.261 2.688 -1.337
As 0.000 1.182 8.687
As 0.000 2.688 1.337
As 3.261 1.182 6.013
```

ΔE_f: -453 meV per atom
Raw total energy: -3.760 eV/atom
Mass density: 3.97 g/cm3
Space group: Ibam

=====

Compound: Cs2Te3As
Source: the Materials Project
Functional: PBE
Structure: relaxed

Cell and atoms, written as extended XYZ:
```
24
Lattice="-5.994 -5.974 4.563 7.210 -0.913 8.275 -0.644 7.503 8.976" Properties=species:S:1:pos:R:3 pbc="T T T"
Cs 2.308 4.268 16.544
Cs -1.737 -3.652 5.271
Cs -0.607 -0.112 17.502
Cs 1.640 -1.945 11.549
Cs 1.178 0.728 4.312
Cs 4.323 2.204 10.767
Cs -3.752 -1.588 11.047
Cs -1.069 2.561 10.266
Te 2.261 -2.634 15.338
Te -1.035 -0.690 7.966
Te -1.737 -0.869 2.269
Te -1.690 3.250 6.476
Te 2.308 1.485 19.545
Te 4.866 0.482 7.124
Te -4.295 0.134 14.691
Te -0.964 0.194 13.657
Te 1.535 0.422 8.158
Te 1.523 4.483 12.409
Te 1.606 1.306 13.848
Te -0.952 -3.867 9.406
As 2.917 -0.166 15.794
As 1.456 -5.696 12.663
As -0.885 6.312 9.151
As -2.346 0.782 6.021
```

ΔE_f: -620 meV per atom
Raw total energy: -3.267 eV/atom
Mass density: 4.43 g/cm3
Space group: P2_1/c

=====

Compound: CsZn4As3
Source: the Materials Project
Functional: PBE
Structure: relaxed

Cell and atoms, written as extended XYZ:
```
8
Lattice="-2.743 -2.080 2.510 -0.928 -2.646 -3.207 7.840 -6.553 3.136" Properties=species:S:1:pos:R:3 pbc="T T T"
Cs 3.920 -3.276 1.568
Zn 5.278 -6.598 3.915
Zn 6.185 -6.881 1.056
Zn -0.181 -2.035 1.731
Zn 0.726 -2.318 -1.128
As 3.808 -7.080 1.909
As 0.361 -4.199 0.530
As 0.000 0.000 0.000
```

ΔE_f: -305 meV per atom
Raw total energy: -2.794 eV/atom
Mass density: 5.30 g/cm3
Space group: P4/mmm

=====

Compound: CuAs2
Source: the Materials Project
Functional: PBE
Structure: relaxed

Cell and atoms, written as extended XYZ:
```
6
Lattice="4.603 0.000 2.615 2.302 4.366 1.308 0.145 0.000 5.104" Properties=species:S:1:pos:R:3 pbc="T T T"
Cu 1.151 0.000 0.654
Cu 3.452 0.000 1.961
As 1.861 2.183 2.083
As 3.525 3.474 4.513
As 3.525 0.892 4.513
As 5.189 2.183 6.943
```

ΔE_f: 237 meV per atom
Raw total energy: -4.236 eV/atom
Mass density: 7.02 g/cm3
Space group: I4/mcm
Spin magnetization: 0.00 μB per formula unit

=====

Compound: CuAs2
Source: the Materials Project
Functional: PBE
Structure: relaxed

Cell and atoms, written as extended XYZ:
```
6
Lattice="-0.919 -3.692 -0.349 0.423 -0.554 4.755 -5.762 1.371 0.672" Properties=species:S:1:pos:R:3 pbc="T T T"
Cu -3.129 -1.438 2.539
Cu 0.000 0.000 0.000
As -5.374 -0.810 1.812
As -0.883 -2.066 3.267
As -3.268 0.417 4.196
As -2.071 0.399 1.231
```

ΔE_f: 85 meV per atom
Raw total energy: -4.388 eV/atom
Mass density: 6.47 g/cm3
Space group: Pnnm
Spin magnetization: 0.00 μB per formula unit

=====

Compound: CuAs
Source: the Materials Project
Functional: PBE
Structure: relaxed

Cell and atoms, written as extended XYZ:
```
10
Lattice="-2.268 -2.736 2.167 1.389 -6.278 -2.475 3.989 -3.374 3.913" Properties=species:S:1:pos:R:3 pbc="T T T"
Cu 0.000 0.000 0.000
Cu -0.284 -4.459 2.068
Cu 3.394 -7.928 1.537
Cu 0.797 -8.828 1.680
Cu 2.313 -3.559 1.925
As 1.555 -6.194 1.802
As 2.129 -8.094 4.001
As 0.982 -4.293 -0.396
As 1.517 -4.232 4.239
As 1.594 -8.155 -0.634
```

ΔE_f: 195 meV per atom
Raw total energy: -4.184 eV/atom
Mass density: 7.16 g/cm3
Space group: C2/m
Spin magnetization: 0.00 μB per formula unit

=====

Compound: Cu2As
Source: the Materials Project
Functional: PBE
Structure: relaxed

Cell and atoms, written as extended XYZ:
```
6
Lattice="3.799 0.000 0.000 0.000 3.799 0.000 0.000 0.000 5.946" Properties=species:S:1:pos:R:3 pbc="T T T"
Cu 1.900 1.900 0.000
Cu 0.000 0.000 0.000
Cu 1.900 0.000 1.786
Cu 0.000 1.900 4.160
As 1.900 0.000 4.227
As 0.000 1.900 1.719
```

ΔE_f: 22 meV per atom
Raw total energy: -4.263 eV/atom
Mass density: 7.82 g/cm3
Space group: P4/nmm

=====

Compound: CuAs2
Source: the Materials Project
Functional: PBE
Structure: relaxed

Cell and atoms, written as extended XYZ:
```
3
Lattice="0.000 4.267 0.000 3.033 -2.133 2.133 0.000 0.000 -4.267" Properties=species:S:1:pos:R:3 pbc="T T T"
Cu 1.517 0.000 -2.133
As 0.000 0.000 0.000
As 0.000 2.133 -2.133
```

ΔE_f: 151 meV per atom
Raw total energy: -4.321 eV/atom
Mass density: 6.42 g/cm3
Space group: I4/mmm
Spin magnetization: 0.00 μB per formula unit

=====

Compound: Cu3As4
Source: the Materials Project
Functional: PBE
Structure: relaxed

Cell and atoms, written as extended XYZ:
```
14
Lattice="2.283 5.981 8.227 -6.391 6.456 5.113 4.264 -8.819 -3.565" Properties=species:S:1:pos:R:3 pbc="T T T"
Cu 1.450 -3.003 1.446
Cu -1.294 6.622 8.329
Cu 0.886 -1.293 3.280
Cu -0.729 4.912 6.495
Cu -1.310 3.967 4.255
Cu -2.798 8.470 9.085
As -3.806 3.616 4.328
As 3.962 0.003 5.447
As 1.259 1.175 3.522
As -1.102 2.444 6.253
As 1.394 -0.604 0.993
As 5.153 -2.233 3.669
As -2.001 1.659 3.821
As 2.158 1.959 5.954
```

ΔE_f: 215 meV per atom
Raw total energy: -4.204 eV/atom
Mass density: 5.78 g/cm3
Space group: Immm
Spin magnetization: 0.00 μB per formula unit

=====

Compound: Cu4As
Source: the Materials Project
Functional: PBE
Structure: relaxed

Cell and atoms, written as extended XYZ:
```
20
Lattice="-5.858 2.566 -0.110 -1.627 -3.494 5.105 1.988 4.703 3.852" Properties=species:S:1:pos:R:3 pbc="T T T"
Cu -4.872 1.889 2.225
Cu -0.515 3.942 4.056
Cu -1.814 -0.884 5.309
Cu -3.792 2.605 6.104
Cu -0.290 0.346 7.196
Cu -1.391 1.778 5.132
Cu -1.621 2.689 7.709
Cu -3.604 0.625 4.249
Cu -5.468 0.491 6.257
Cu -6.211 0.007 3.661
Cu -4.635 4.874 4.903
Cu -2.441 5.790 3.536
Cu -3.034 3.112 3.541
Cu -2.464 1.707 1.345
Cu -1.694 -0.508 2.769
Cu -0.127 1.744 2.781
As -2.992 0.480 6.907
As -5.542 2.524 4.450
As -2.128 4.321 5.804
As -0.330 0.227 0.532
```

ΔE_f: 93 meV per atom
Raw total energy: -4.118 eV/atom
Mass density: 8.35 g/cm3
Space group: P2_13
Spin magnetization: 0.00 μB per formula unit

=====

Compound: CuAs
Source: the Materials Project
Functional: PBE
Structure: relaxed

Cell and atoms, written as extended XYZ:
```
4
Lattice="-0.292 1.268 3.650 -0.165 -3.798 -0.751 4.934 -0.314 0.503" Properties=species:S:1:pos:R:3 pbc="T T T"
Cu 2.467 -0.157 0.252
Cu 0.000 0.000 0.000
As 3.451 -0.656 2.561
As 1.026 -2.188 0.842
```

ΔE_f: 54 meV per atom
Raw total energy: -4.325 eV/atom
Mass density: 7.12 g/cm3
Space group: P6_3/mmc

=====

Compound: DyCuAs2
Source: the Materials Project
Functional: PBE
Structure: relaxed

Cell and atoms, written as extended XYZ:
```
8
Lattice="-2.806 2.273 -1.482 -2.182 -0.623 3.177 4.087 7.885 4.354" Properties=species:S:1:pos:R:3 pbc="T T T"
Dy 2.024 5.698 4.907
Dy -0.431 3.012 0.295
Cu -0.451 4.768 3.024
Cu 2.044 3.942 2.177
As 0.000 0.000 0.000
As -2.494 0.825 0.847
As 0.294 2.361 3.064
As 1.299 6.349 2.137
```

ΔE_f: -820 meV per atom
Raw total energy: -5.326 eV/atom
Mass density: 8.28 g/cm3
Space group: P4/nmm

=====

Compound: DyZnCuAs2
Source: the Materials Project
Functional: PBE
Structure: relaxed

Cell and atoms, written as extended XYZ:
```
5
Lattice="2.062 -3.572 0.000 2.062 3.572 0.000 0.000 0.000 6.731" Properties=species:S:1:pos:R:3 pbc="T T T"
Dy 0.000 0.000 0.111
Zn 2.062 1.191 4.196
Cu 2.062 -1.191 2.426
As 2.062 -1.191 5.042
As 2.062 1.191 1.687
```

ΔE_f: -666 meV per atom
Raw total energy: -4.522 eV/atom
Mass density: 7.39 g/cm3
Space group: P3m1
Spin magnetization: 0.00 μB per formula unit

=====

Compound: ErCuAs2
Source: the Materials Project
Functional: PBE
Structure: relaxed

Cell and atoms, written as extended XYZ:
```
8
Lattice="3.886 0.000 0.000 0.000 3.886 0.000 0.000 0.000 9.828" Properties=species:S:1:pos:R:3 pbc="T T T"
Er 0.000 1.943 7.495
Er 1.943 0.000 2.333
Cu 1.943 1.943 4.914
Cu 0.000 0.000 4.914
As 0.000 0.000 0.000
As 1.943 1.943 0.000
As 0.000 1.943 3.307
As 1.943 0.000 6.521
```

ΔE_f: -801 meV per atom
Raw total energy: -5.297 eV/atom
Mass density: 8.52 g/cm3
Space group: P4/nmm

=====

Compound: EuCuAs
Source: the Materials Project
Functional: PBE
Structure: relaxed

Cell and atoms, written as extended XYZ:
```
6
Lattice="2.109 -3.653 0.000 2.109 3.653 0.000 0.000 0.000 8.278" Properties=species:S:1:pos:R:3 pbc="T T T"
Eu 0.000 0.000 4.139
Eu 0.000 0.000 0.000
Cu 2.109 -1.218 2.069
Cu 2.109 1.218 6.208
As 2.109 1.218 2.069
As 2.109 -1.218 6.208
```

ΔE_f: -847 meV per atom
Raw total energy: -7.185 eV/atom
Mass density: 7.56 g/cm3
Space group: P6_3/mmc

=====

Compound: K2CuAsF6
Source: the Materials Project
Functional: PBE
Structure: relaxed

Cell and atoms, written as extended XYZ:
```
10
Lattice="5.637 -1.434 -1.711 1.939 -5.727 0.446 0.902 -3.294 -5.009" Properties=species:S:1:pos:R:3 pbc="T T T"
K 6.358 -7.841 -4.706
K 2.119 -2.614 -1.569
Cu 4.239 -5.227 -3.137
As 0.000 0.000 0.000
F 4.956 -3.280 -2.405
F 2.527 -4.235 -4.098
F 3.522 -7.174 -3.869
F 3.059 -5.484 -1.299
F 5.419 -4.971 -4.976
F 5.951 -6.219 -2.177
```

ΔE_f: -2396 meV per atom
Raw total energy: -4.365 eV/atom
E (MP2020): -46.4 eV/cell
Mass density: 3.48 g/cm3
Space group: Fm-3m
Spin magnetization: 0.00 μB per formula unit

=====

Compound: Li2CuAsF6
Source: the Materials Project
Functional: PBE
Structure: relaxed

Cell and atoms, written as extended XYZ:
```
10
Lattice="0.000 4.194 4.194 4.194 0.000 4.194 4.194 4.194 0.000" Properties=species:S:1:pos:R:3 pbc="T T T"
Li 2.097 2.097 2.097
Li 6.291 6.291 6.291
Cu 4.194 4.194 4.194
As 0.000 0.000 0.000
F 4.194 4.194 2.065
F 6.323 4.194 4.194
F 4.194 4.194 6.323
F 4.194 2.065 4.194
F 4.194 6.323 4.194
F 2.065 4.194 4.194
```

ΔE_f: -2122 meV per atom
Raw total energy: -4.251 eV/atom
E (MP2020): -45.3 eV/cell
Mass density: 3.00 g/cm3
Space group: Fm-3m
Spin magnetization: 0.03 μB per formula unit

=====

Compound: TiCuGeAs
Source: the Materials Project
Functional: PBE
Structure: relaxed

Cell and atoms, written as extended XYZ:
```
8
Lattice="-2.104 -1.843 2.339 -0.699 -2.479 -2.581 7.353 -4.922 2.736" Properties=species:S:1:pos:R:3 pbc="T T T"
Ti 5.360 -5.061 0.834
Ti 0.591 -2.021 1.781
Cu 2.275 -4.622 1.247
Cu 3.676 -2.461 1.368
Ge -1.401 -2.161 -0.121
Ge 0.000 0.000 0.000
As 1.947 -2.776 -0.436
As 4.005 -4.306 3.052
```

ΔE_f: -416 meV per atom
Raw total energy: -5.735 eV/atom
Mass density: 6.99 g/cm3
Space group: P4/nmm
Spin magnetization: 0.00 μB per formula unit

=====

Compound: ZrCuGeAs
Source: the Materials Project
Functional: PBE
Structure: relaxed

Cell and atoms, written as extended XYZ:
```
8
Lattice="3.754 0.000 0.000 0.000 3.754 0.000 0.000 0.000 9.607" Properties=species:S:1:pos:R:3 pbc="T T T"
Zr 0.000 1.877 7.418
Zr 1.877 0.000 2.189
Cu 0.000 0.000 4.804
Cu 1.877 1.877 4.804
Ge 0.000 0.000 0.000
Ge 1.877 1.877 0.000
As 0.000 1.877 3.109
As 1.877 0.000 6.498
```

ΔE_f: -590 meV per atom
Raw total energy: -6.073 eV/atom
Mass density: 7.42 g/cm3
Space group: P4/nmm